The following is a PBE with a Hubbard U calculation of crystalline Li4MnCo2O7 at its relaxed geometry, from the Materials Project. Values from VASP.

Properties
- corrected total energy (MP2020 scheme) (eV/atom) = -6.495
- offset from the most stable computed form (eV per atom) = 0.078
- volume (Å³/f.u.) = 127.2
- energy of formation (eV/atom) = -1.805

Geometry as Quantum ESPRESSO input:
```
&SYSTEM
  ibrav = 0, nat = 28, ntyp = 4
/
ATOMIC_SPECIES
Li 6.94 Li.upf
O 16.00 O.upf
Co 58.93 Co.upf
Mn 54.94 Mn.upf
CELL_PARAMETERS angstrom
-3.007 0.299 -0.119
-0.603 -2.749 -5.304
-2.912 -12.993 5.036
ATOMIC_POSITIONS crystal
Li 0.719 0.351 0.568
Li 0.000 0.500 0.000
Li 0.571 0.786 0.857
Li 0.854 0.934 0.287
Li 0.426 0.216 0.145
Li 0.145 0.072 0.713
Li 0.285 0.642 0.429
Li 0.286 0.144 0.428
O 0.384 0.666 0.279
O 0.235 0.089 0.571
O 0.336 0.199 0.285
O 0.670 0.816 0.703
O 0.527 0.245 0.994
O 0.618 0.327 0.721
O 0.796 0.401 0.414
O 0.774 0.886 0.442
O 0.953 0.951 0.140
O 0.189 0.618 0.575
O 0.099 0.526 0.852
O 0.044 0.047 0.862
O 0.899 0.475 0.155
O 0.472 0.752 0.008
Co 0.722 0.872 0.565
Co 0.852 0.417 0.291
Co 0.427 0.712 0.145
Co 0.571 0.286 0.857
Mn 0.144 0.572 0.713
Mn 0.000 0.999 0.001
```